a | # LiErP4O12 PBE optimized geometry
data_LiErP4O12
_space_group_name_H-M_alt 'C 1 2/c 1'
_space_group_IT_number 15
_cell_length_a 16.531
_cell_length_b 7.194
_cell_length_c 9.726
_cell_angle_alpha 90.00
_cell_angle_beta 125.55
_cell_angle_gamma 90.00
loop_
_space_group_symop_operation_xyz
'x,y,z'
'-x,-y,-z'
'-x,y,-z+1/2'
'x,-y,z+1/2'
'x+1/2,y+1/2,z'
'-x+1/2,-y+1/2,-z'
'-x+1/2,y+1/2,-z+1/2'
'x+1/2,-y+1/2,z+1/2'
loop_
_atom_site_label
_atom_site_fract_x
_atom_site_fract_y
_atom_site_fract_z
Li1 0.000 0.000 0.000
Er1 0.000 0.235 0.250
P1 0.135 0.452 0.656
P2 0.149 0.159 0.091
O1 0.069 0.487 0.206
O2 0.080 0.072 0.920
O3 0.104 0.290 0.537
O4 0.116 0.123 0.205
O5 0.161 0.379 0.078
O6 0.241 0.412 0.831
# **V**: 13.1 A^3/atom
# **Total magnetization**: 0.00 μB/cell

b | # LiErP4O12 PBE optimized geometry
data_LiErP4O12
_space_group_name_H-M_alt 'C 1 2/c 1'
_space_group_IT_number 15
_cell_length_a 16.363
_cell_length_b 7.113
_cell_length_c 9.626
_cell_angle_alpha 90.00
_cell_angle_beta 125.92
_cell_angle_gamma 90.00
loop_
_space_group_symop_operation_xyz
'x,y,z'
'-x,-y,-z'
'-x,y,-z+1/2'
'x,-y,z+1/2'
'x+1/2,y+1/2,z'
'-x+1/2,-y+1/2,-z'
'-x+1/2,y+1/2,-z+1/2'
'x+1/2,-y+1/2,z+1/2'
loop_
_atom_site_label
_atom_site_fract_x
_atom_site_fract_y
_atom_site_fract_z
Li1 0.000 0.207 0.250
Er1 0.000 0.297 0.750
P1 0.137 0.050 0.616
P2 0.145 0.351 0.193
O1 0.066 0.002 0.428
O2 0.071 0.420 0.225
O3 0.111 0.212 0.684
O4 0.126 0.383 0.022
O5 0.156 0.128 0.234
O6 0.245 0.078 0.652
# **V**: 12.6 A^3/atom
# **Total magnetization**: 0.00 μB/cell

Which of them is the most stable? Correct choice: b.

a | # Er4MgZr4O14 PBE optimized geometry
data_Er4MgZr4O14
_space_group_name_H-M_alt 'P 1 2/m 1'
_space_group_IT_number 10
_cell_length_a 6.977
_cell_length_b 4.201
_cell_length_c 10.871
_cell_angle_alpha 90.00
_cell_angle_beta 90.25
_cell_angle_gamma 90.00
loop_
_space_group_symop_operation_xyz
'x,y,z'
'-x,-y,-z'
'-x,y,-z'
'x,-y,z'
loop_
_atom_site_label
_atom_site_fract_x
_atom_site_fract_y
_atom_site_fract_z
Er1 0.000 0.000 0.000
Er2 0.244 0.500 0.287
Er3 0.500 0.000 0.000
Mg1 0.500 0.500 0.000
Zr1 0.000 0.000 0.500
Zr2 0.243 0.500 0.737
Zr3 0.500 0.000 0.500
O1 0.018 0.500 0.139
O2 0.024 0.500 0.607
O3 0.246 0.000 0.633
O4 0.248 0.000 0.379
O5 0.256 0.000 0.883
O6 0.473 0.500 0.607
O7 0.482 0.500 0.162
# **V**: 13.9 A^3/atom
# **Total magnetization**: 0.99 μB/cell

b | # Er4MgZr4O14 PBE optimized geometry
data_Er4MgZr4O14
_space_group_name_H-M_alt 'P m m 2'
_space_group_IT_number 25
_cell_length_a 3.475
_cell_length_b 7.760
_cell_length_c 11.293
_cell_angle_alpha 90.00
_cell_angle_beta 90.00
_cell_angle_gamma 90.00
loop_
_space_group_symop_operation_xyz
'x,y,z'
'-x,-y,z'
'-x,y,z'
'x,-y,z'
loop_
_atom_site_label
_atom_site_fract_x
_atom_site_fract_y
_atom_site_fract_z
Er1 0.000 0.000 0.000
Er2 0.000 0.500 0.482
Er3 0.500 0.228 0.726
Mg1 0.000 0.500 0.156
Zr1 0.000 0.000 0.487
Zr2 0.000 0.500 0.904
Zr3 0.500 0.214 0.249
O1 0.000 0.231 0.865
O2 0.000 0.244 0.375
O3 0.000 0.252 0.139
O4 0.000 0.276 0.606
O5 0.500 0.000 0.124
O6 0.500 0.000 0.364
O7 0.500 0.000 0.596
O8 0.500 0.500 0.013
O9 0.500 0.500 0.262
O10 0.500 0.500 0.778
# **V**: 13.2 A^3/atom
# **Total magnetization**: 0.98 μB/cell

Which of them is the most stable? Correct choice: b.